The following is a PBE calculation of an optimized crystal structure of GdWC2, from the Materials Project database.

a = 5.760 Å, b = 3.422 Å, c = 10.847 Å
α = 90.00°, β = 90.00°, γ = 90.00°
Fractional positions:
Gd (0.084, 0.250, 0.137)
Gd (0.416, 0.750, 0.637)
Gd (0.584, 0.250, 0.363)
Gd (0.916, 0.750, 0.863)
W (0.093, 0.750, 0.390)
W (0.407, 0.250, 0.890)
W (0.593, 0.750, 0.110)
W (0.907, 0.250, 0.610)
C (0.161, 0.250, 0.753)
C (0.218, 0.250, 0.482)
C (0.282, 0.750, 0.982)
C (0.339, 0.750, 0.253)
C (0.661, 0.250, 0.747)
C (0.718, 0.250, 0.018)
C (0.782, 0.750, 0.518)
C (0.839, 0.750, 0.247)

Results
Space group: Pnma (62)
Formation energy (eV/atom): -0.241
Final energy (eV per atom): -11.61